(1)
DFT (PBE) results for a relaxed structure of MgTi2Nb2Cu3O12.

Structure (extended XYZ):
```
20
Lattice="4.061 1.485 4.984 -6.620 0.787 2.148 1.023 -6.149 -1.778" Properties=species:S:1:pos:R:3 pbc="T T T"
Mg -3.546 -2.690 1.260
Ti 1.914 0.714 2.949
Ti -3.526 0.421 1.166
Nb 0.290 -3.084 -0.716
Nb -0.856 -1.828 2.880
Cu -1.543 1.160 3.710
Cu 2.506 -2.306 1.634
Cu 1.664 -1.565 4.191
O 1.337 0.599 4.640
O 1.036 -0.973 2.395
O 3.097 -2.888 3.499
O -1.858 -0.263 2.334
O -2.937 0.615 5.171
O -0.897 -1.340 4.735
O -0.662 -2.552 0.822
O 1.541 -4.371 0.269
O 0.238 -3.644 3.125
O -4.544 -1.041 1.864
O -2.594 -2.859 3.016
O -2.795 -4.446 0.637
```

Results
Energy relative to the lowest polymorph listed for this composition: 61 meV per atom
Size of the total moment: 1.00 μB/cell
Energy with MP2020 corrections: -7.88 eV per atom
DFT formation energy: -233.16 kJ per mole of atoms
Calculated volume: 11.6 A^3/atom


(2)
DFT (PBE) results for a relaxed structure of MgTi2Nb2Cu3O12.

Structure (extended XYZ):
```
20
Lattice="-3.780 3.781 3.791 3.780 -3.781 3.791 3.785 3.785 -3.791" Properties=species:S:1:pos:R:3 pbc="T T T"
Mg 0.000 0.000 0.000
Ti -1.890 1.890 1.895
Ti 1.890 -1.890 1.895
Nb 1.892 1.893 -1.895
Nb 1.892 1.893 1.895
Cu 0.000 0.000 3.791
Cu 0.002 3.783 0.000
Cu 3.782 0.002 0.000
O -1.541 2.426 3.791
O -0.012 2.252 1.346
O 0.016 5.314 1.346
O 1.343 -0.013 2.256
O 1.343 -0.013 5.325
O 1.519 2.461 3.791
O 2.266 1.325 0.000
O 2.442 3.799 -1.535
O 2.442 3.798 1.535
O 3.768 -1.528 2.445
O 3.797 1.533 2.445
O 5.325 1.360 0.000
```

Results
Energy relative to the lowest polymorph listed for this composition: 0 meV per atom
Size of the total moment: 1.13 μB/cell
Energy with MP2020 corrections: -7.94 eV per atom
DFT formation energy: -239.02 kJ per mole of atoms
Calculated volume: 10.8 A^3/atom


(3)
DFT (PBE) results for a relaxed structure of MgTi3NbCu3O12.

Structure (extended XYZ):
```
20
Lattice="-3.992 3.841 3.973 3.911 -3.659 3.709 3.990 3.662 -3.790" Properties=species:S:1:pos:R:3 pbc="T T T"
Mg -0.081 1.094 4.404
Ti 1.785 5.746 -1.592
Ti 2.141 -1.759 2.108
Ti 2.164 1.946 -2.003
Nb 1.826 2.028 1.852
Cu 4.012 2.763 -0.632
Cu 0.002 3.861 0.121
Cu 3.931 0.071 0.030
O -1.470 2.471 3.955
O 0.022 2.428 1.446
O -0.098 5.321 1.559
O 1.427 0.228 5.443
O 1.539 0.145 2.384
O 1.343 2.471 3.922
O 2.506 1.492 0.069
O 2.486 3.764 -1.365
O 2.433 3.935 1.727
O 3.891 -1.373 2.329
O 3.961 1.617 2.500
O 5.384 1.505 0.069
```

Results
Energy relative to the lowest polymorph listed for this composition: 77 meV per atom
Size of the total moment: 2.00 μB/cell
Energy with MP2020 corrections: -7.81 eV per atom
DFT formation energy: -236.85 kJ per mole of atoms
Calculated volume: 11.4 A^3/atom


(4)
DFT (PBE) results for a relaxed structure of MgTi2Nb2Cu3O12.

Structure (extended XYZ):
```
20
Lattice="-4.032 4.009 4.066 3.841 -3.853 3.721 3.852 3.680 -3.910" Properties=species:S:1:pos:R:3 pbc="T T T"
Mg -0.324 1.237 4.403
Ti 1.647 -1.585 5.924
Ti 5.773 1.705 -1.797
Nb 2.086 2.134 -1.912
Nb 1.684 1.942 1.909
Cu 4.084 2.787 -0.227
Cu 3.716 0.099 3.828
Cu 3.835 -0.016 -0.025
O -1.615 2.644 3.931
O -0.100 2.459 1.443
O -0.193 5.450 1.599
O 1.467 0.049 2.285
O 1.191 0.106 5.303
O 1.276 2.426 3.904
O 2.364 1.525 0.013
O 2.459 3.903 -1.357
O 2.169 3.970 1.641
O 3.860 -1.551 2.169
O 3.785 1.503 2.434
O 5.351 1.255 -0.038
```

Results
Energy relative to the lowest polymorph listed for this composition: 63 meV per atom
Size of the total moment: 1.00 μB/cell
Energy with MP2020 corrections: -7.88 eV per atom
DFT formation energy: -232.92 kJ per mole of atoms
Calculated volume: 11.5 A^3/atom


(5)
DFT (PBE) results for a relaxed structure of MgTi3NbCu3O12.

Structure (extended XYZ):
```
20
Lattice="-2.220 -2.450 5.584 1.493 6.261 0.829 -4.575 -0.544 -4.570" Properties=species:S:1:pos:R:3 pbc="T T T"
Mg 0.000 0.000 0.000
Ti -1.110 -1.225 2.792
Ti 0.746 3.130 0.415
Ti -2.288 -0.272 -2.285
Nb -2.651 1.633 0.922
Cu -0.364 1.905 3.207
Cu -3.398 -1.497 0.507
Cu -1.541 2.858 -1.870
O -1.940 -0.215 4.287
O -2.160 -0.245 1.434
O -4.896 -1.426 1.844
O -1.056 3.682 3.838
O -0.742 2.150 1.268
O -3.191 2.083 2.803
O -2.112 1.184 -0.959
O -4.247 -0.416 -1.995
O -4.561 1.117 0.575
O -0.407 4.693 0.000
O -3.143 3.511 0.409
O -3.363 3.482 -2.443
```

Results
Energy relative to the lowest polymorph listed for this composition: 0 meV per atom
Size of the total moment: 1.98 μB/cell
Energy with MP2020 corrections: -7.88 eV per atom
DFT formation energy: -244.24 kJ per mole of atoms
Calculated volume: 10.5 A^3/atom


(6)
DFT (PBE) results for a relaxed structure of Rb4MgNb2Cu2S8.

Structure (extended XYZ):
```
17
Lattice="-2.028 -4.891 -2.131 -3.153 -4.408 5.122 -11.813 2.918 -3.092" Properties=species:S:1:pos:R:3 pbc="T T T"
Rb -8.575 -6.121 0.925
Rb -4.445 -5.223 2.577
Rb -8.823 -0.065 -1.101
Rb -12.540 -1.165 -2.675
Mg -8.211 -3.313 -1.869
Nb -4.453 -2.234 -0.282
Nb -12.403 -4.219 0.207
Cu -5.464 -4.680 -1.353
Cu -11.457 -1.741 1.260
S -13.498 -2.783 1.672
S -10.296 -3.245 -0.369
S -12.146 -6.368 1.224
S -13.703 -4.470 -1.706
S -3.247 -1.938 1.672
S -6.664 -3.098 0.023
S -4.930 -0.034 -1.098
S -3.431 -3.634 -1.816
```

Results
Energy relative to the lowest polymorph listed for this composition: 0 meV per atom
Size of the total moment: 0.41 μB/cell
Energy with MP2020 corrections: -5.10 eV per atom
DFT formation energy: -111.98 kJ per mole of atoms
Calculated volume: 28.1 A^3/atom


(7)
DFT (PBE) results for a relaxed structure of Rb4MgNb2Cu2S8.

Structure (extended XYZ):
```
17
Lattice="5.517 0.090 1.174 2.835 7.135 0.755 -0.269 0.288 12.418" Properties=species:S:1:pos:R:3 pbc="T T T"
Rb 6.365 5.142 6.280
Rb 4.509 5.324 2.318
Rb 1.295 2.090 8.347
Rb 3.410 2.159 12.083
Mg 4.376 1.324 6.662
Nb 2.758 1.689 3.789
Nb 5.289 5.695 10.541
Cu 5.564 1.870 4.121
Cu 2.530 5.586 10.013
S 3.636 6.968 11.553
S 4.233 4.308 8.992
S 6.875 7.124 9.500
S 6.348 4.357 12.117
S 1.719 3.174 2.276
S 3.869 3.241 5.259
S 1.026 0.378 4.751
S 4.378 0.445 2.716
```

Results
Energy relative to the lowest polymorph listed for this composition: 17 meV per atom
Size of the total moment: 0.85 μB/cell
Energy with MP2020 corrections: -5.09 eV per atom
DFT formation energy: -110.34 kJ per mole of atoms
Calculated volume: 28.7 A^3/atom


(8)
DFT (PBE) results for a relaxed structure of Nd2MgCu2.

Structure (extended XYZ):
```
10
Lattice="0.000 0.000 3.806 7.842 0.000 0.000 0.000 7.842 0.000" Properties=species:S:1:pos:R:3 pbc="T T T"
Nd 2.576 6.497 1.903
Nd 6.497 5.266 1.903
Nd 1.345 2.576 1.903
Nd 5.266 1.345 1.903
Mg 3.921 3.921 0.000
Mg 0.000 0.000 0.000
Cu 0.947 4.869 0.000
Cu 4.869 6.895 0.000
Cu 6.895 2.974 0.000
Cu 2.974 0.947 0.000
```

Results
DFT formation energy: -18.71 kJ per mole of atoms
Calculated volume: 23.4 A^3/atom


(9)
DFT (PBE) results for a relaxed structure of NdMg2Cu9.

Structure (extended XYZ):
```
24
Lattice="-0.637 0.274 -5.002 -1.280 -4.208 2.482 -14.914 5.844 2.219" Properties=species:S:1:pos:R:3 pbc="T T T"
Nd -4.580 0.241 -1.953
Nd -12.251 1.669 1.652
Mg -7.836 1.517 -1.468
Mg -15.507 2.945 2.136
Mg -1.323 -1.035 -2.437
Mg -8.995 0.393 1.167
Cu -4.794 -1.253 0.542
Cu -12.037 3.163 -0.843
Cu -6.805 -1.247 2.062
Cu -6.171 0.838 0.832
Cu -11.186 4.383 1.665
Cu -3.729 1.461 0.555
Cu 0.000 0.000 0.000
Cu -7.457 2.922 1.110
Cu -2.361 -0.655 0.265
Cu -10.026 3.157 -2.363
Cu -9.710 3.021 0.116
Cu -3.311 -2.604 -0.984
Cu -2.995 -2.740 1.495
Cu -14.470 2.565 -0.566
Cu -13.836 4.650 -1.796
Cu -10.660 1.072 -1.133
Cu -13.520 4.514 0.683
Cu -7.121 -1.111 -0.417
```

Results
DFT formation energy: -16.10 kJ per mole of atoms
Calculated volume: 14.9 A^3/atom


(10)
DFT (PBE) results for a relaxed structure of Nd4MgCu4O10.

Structure (extended XYZ):
```
19
Lattice="3.718 0.000 0.000 0.000 6.605 0.100 0.000 0.106 9.832" Properties=species:S:1:pos:R:3 pbc="T T T"
Nd 1.859 0.887 8.289
Nd 1.859 5.716 1.346
Nd 1.859 4.109 6.648
Nd 1.859 2.740 3.278
Mg 1.859 0.144 4.812
Cu 0.000 1.661 5.924
Cu 0.000 5.245 3.825
Cu 0.000 4.375 9.115
Cu 0.000 1.993 0.862
O 0.000 3.535 5.017
O 0.000 0.158 9.811
O 0.000 6.072 6.545
O 0.000 0.930 3.679
O 0.000 2.617 7.962
O 0.000 3.909 1.896
O 1.859 1.745 5.958
O 1.859 5.159 3.742
O 1.859 1.625 1.083
O 1.859 4.994 8.893
```

Results
Size of the total moment: 0.00 μB/cell
Energy with MP2020 corrections: -6.89 eV per atom
DFT formation energy: -225.06 kJ per mole of atoms
Calculated volume: 12.7 A^3/atom


(11)
DFT (PBE) results for a relaxed structure of Nd2MgCuO4.

Structure (extended XYZ):
```
8
Lattice="-0.370 3.981 -0.844 -3.966 -0.544 -0.822 0.153 -0.076 9.272" Properties=species:S:1:pos:R:3 pbc="T T T"
Nd -2.930 2.340 2.327
Nd -1.253 1.021 5.279
Mg -2.168 1.719 -0.833
Cu 0.000 0.000 0.000
O -0.185 1.991 -0.422
O -1.199 2.804 3.798
O -1.983 -0.272 -0.411
O -2.984 0.557 3.809
```

Results
Energy relative to the lowest polymorph listed for this composition: 110 meV per atom
Size of the total moment: 0.20 μB/cell
Energy with MP2020 corrections: -6.67 eV per atom
DFT formation energy: -221.18 kJ per mole of atoms
Calculated volume: 18.4 A^3/atom


(12)
DFT (PBE) results for a relaxed structure of Nd2MgCuO4.

Structure (extended XYZ):
```
8
Lattice="-1.812 2.876 -0.160 -2.809 -1.723 0.850 4.261 1.212 9.723" Properties=species:S:1:pos:R:3 pbc="T T T"
Nd -1.845 1.003 2.747
Nd 1.485 1.362 7.667
Mg -0.429 0.033 5.459
Cu 0.000 0.000 0.000
O -1.107 1.681 6.561
O 0.746 0.685 3.853
O 0.840 3.040 8.937
O -0.702 1.625 0.972
```

Results
Energy relative to the lowest polymorph listed for this composition: 51 meV per atom
Size of the total moment: 0.00 μB/cell
Energy with MP2020 corrections: -6.73 eV per atom
DFT formation energy: -226.82 kJ per mole of atoms
Calculated volume: 15.1 A^3/atom


(13)
DFT (PBE) results for a relaxed structure of Nd2MgCuO4.

Structure (extended XYZ):
```
8
Lattice="3.668 0.000 -1.030 -0.289 3.656 -1.030 0.741 0.802 9.682" Properties=species:S:1:pos:R:3 pbc="T T T"
Nd 2.603 2.817 2.223
Nd 1.516 1.641 5.399
Mg 1.689 1.828 -1.030
Cu 0.000 0.000 0.000
O 3.195 3.458 4.332
O 0.924 1.000 3.290
O -0.145 1.828 -0.515
O 1.834 0.000 -0.515
```

Results
Energy relative to the lowest polymorph listed for this composition: 240 meV per atom
Size of the total moment: 0.00 μB/cell
Energy with MP2020 corrections: -6.54 eV per atom
DFT formation energy: -208.65 kJ per mole of atoms
Calculated volume: 17.0 A^3/atom


(14)
DFT (PBE) results for a relaxed structure of Nd2MgCuO4.

Structure (extended XYZ):
```
8
Lattice="-3.742 -0.747 -1.344 1.327 0.194 -3.816 2.601 -6.864 2.718" Properties=species:S:1:pos:R:3 pbc="T T T"
Nd -0.923 -1.715 -2.546
Nd 1.016 -5.238 0.087
Mg -0.382 -4.528 -2.508
Cu 0.121 -7.082 -2.448
O -1.812 -0.679 -0.657
O -1.114 -4.270 -0.605
O 0.730 -0.207 -1.897
O 1.420 -3.799 -1.840
```

Results
Energy relative to the lowest polymorph listed for this composition: 0 meV per atom
Size of the total moment: 0.04 μB/cell
Energy with MP2020 corrections: -6.78 eV per atom
DFT formation energy: -231.76 kJ per mole of atoms
Calculated volume: 14.9 A^3/atom


(15)
DFT (PBE) results for a relaxed structure of Mg14CuNi.

Structure (extended XYZ):
```
16
Lattice="6.260 0.000 0.000 -3.130 5.421 0.000 0.000 0.000 9.632" Properties=species:S:1:pos:R:3 pbc="T T T"
Mg -1.571 4.514 1.204
Mg -1.570 4.514 6.020
Mg 3.130 1.814 1.204
Mg 3.130 1.813 6.020
Mg 1.571 4.514 1.204
Mg 1.570 4.514 6.020
Mg 1.482 0.951 3.628
Mg 1.482 0.951 8.413
Mg 0.000 3.518 3.628
Mg 0.000 3.518 8.413
Mg 4.778 0.951 3.628
Mg 4.778 0.951 8.413
Mg 3.130 3.614 3.598
Mg 3.130 3.614 8.443
Cu 0.000 1.807 1.204
Ni 0.000 1.807 6.020
```

Results
Energy relative to the lowest polymorph listed for this composition: 12 meV per atom
Size of the total moment: 0.00 μB/cell
DFT formation energy: 3.03 kJ per mole of atoms
Calculated volume: 20.4 A^3/atom


(16)
DFT (PBE) results for a relaxed structure of Mg4CuNi.

Structure (extended XYZ):
```
18
Lattice="-2.125 4.234 2.322 -1.687 -4.833 1.276 9.123 -0.662 9.558" Properties=species:S:1:pos:R:3 pbc="T T T"
Mg 1.283 -3.594 4.630
Mg -0.885 -0.874 0.785
Mg 3.226 -1.625 9.017
Mg 0.986 2.554 5.339
Mg -2.927 0.276 2.813
Mg 5.126 0.144 7.325
Mg 0.074 -0.443 3.873
Mg 7.000 1.532 9.608
Mg 4.178 -2.781 5.899
Mg 2.196 -0.597 6.096
Mg 6.299 -2.935 8.121
Mg -0.002 2.040 2.272
Cu 5.696 -0.851 9.764
Cu 3.499 1.786 5.940
Cu 0.677 -2.527 2.231
Ni 7.603 -0.552 7.965
Ni 4.562 -0.331 4.779
Ni 1.521 -0.110 1.593
```

Results
DFT formation energy: -13.92 kJ per mole of atoms
Calculated volume: 17.7 A^3/atom


(17)
DFT (PBE) results for a relaxed structure of Mg6CuNi.

Structure (extended XYZ):
```
8
Lattice="4.487 3.729 0.961 -5.302 2.072 -1.597 -1.261 0.328 4.611" Properties=species:S:1:pos:R:3 pbc="T T T"
Mg -1.741 1.377 1.916
Mg -2.172 4.441 1.580
Mg -4.316 2.510 1.131
Mg 0.685 1.662 0.069
Mg 0.294 4.442 -0.236
Mg -2.021 2.627 -0.740
Cu 0.595 3.341 2.415
Ni 2.892 3.459 0.544
```

Results
Energy relative to the lowest polymorph listed for this composition: 3 meV per atom
Size of the total moment: 0.00 μB/cell
DFT formation energy: 4.42 kJ per mole of atoms
Calculated volume: 18.1 A^3/atom


(18)
DFT (PBE) results for a relaxed structure of Mg6CuNi.

Structure (extended XYZ):
```
16
Lattice="-1.105 -2.087 4.092 5.806 -1.896 0.600 2.297 8.624 5.018" Properties=species:S:1:pos:R:3 pbc="T T T"
Mg 2.246 3.523 5.130
Mg 5.140 2.578 5.430
Mg 2.369 3.065 2.203
Mg 5.318 2.102 2.508
Mg 1.543 5.794 3.371
Mg 0.400 1.502 0.874
Mg 4.001 -1.737 2.922
Mg 1.089 -0.786 2.620
Mg 6.420 6.429 5.012
Mg 3.564 7.362 4.717
Mg 3.297 0.534 1.163
Mg 4.451 4.866 3.683
Cu 1.361 6.139 6.225
Cu 3.115 0.879 4.017
Ni 0.212 1.828 3.717
Ni 4.264 5.192 6.526
```

Results
Energy relative to the lowest polymorph listed for this composition: 0 meV per atom
Size of the total moment: 0.01 μB/cell
DFT formation energy: 4.16 kJ per mole of atoms
Calculated volume: 18.6 A^3/atom